! LiYB4H16 PBE optimized geometry; values from VASP
! Crystal system: tetragonal
! Space group: No. 111
! Energy of formation, meV/atom: -419.3
&SYSTEM
  ibrav = 0, nat = 22, ntyp = 4
/
ATOMIC_SPECIES
Li 6.94 Li.upf
Y 88.91 Y.upf
B 10.81 B.upf
H 1.01 H.upf
CELL_PARAMETERS angstrom
-6.087 -1.330 0.778
1.241 -6.111 -0.737
0.921 -0.566 6.240
ATOMIC_POSITIONS crystal
Li 0.000 0.000 0.500
Y 0.500 0.500 0.500
B 0.745 0.745 0.309
B 0.255 0.255 0.309
B 0.745 0.255 0.691
B 0.255 0.745 0.691
H 0.761 0.761 0.504
H 0.239 0.239 0.504
H 0.761 0.239 0.496
H 0.239 0.761 0.496
H 0.863 0.863 0.216
H 0.137 0.137 0.216
H 0.863 0.137 0.784
H 0.137 0.863 0.784
H 0.782 0.555 0.267
H 0.218 0.445 0.267
H 0.782 0.445 0.733
H 0.218 0.555 0.733
H 0.555 0.218 0.733
H 0.445 0.782 0.733
H 0.445 0.218 0.267
H 0.555 0.782 0.267